(1)
This record from the Materials Project database describes a relaxed structure of LaCu2Si2. The functional is PBE.

Cell lengths 5.7733, 5.7733, 5.7733 Å; angles 137.92, 137.92, 61.03 degrees
Fractional coordinates of all 5 atoms:
1 La 0.0000 0.0000 0.0000
2 Cu 0.2500 0.7500 0.5000
3 Cu 0.7500 0.2500 0.5000
4 Si 0.3778 0.3778 0.0000
5 Si 0.6222 0.6222 0.0000

Properties
Total energy after the MP2020 corrections = -26.80 eV per formula unit

---

(2)
This record from the Materials Project database describes a relaxed structure of LiAsSe2. The functional is PBE.

Cell lengths 3.8946, 3.8946, 5.3045 Å; angles 90.00, 90.00, 90.00 degrees
Fractional coordinates of all 4 atoms:
1 Li 0.0000 0.0000 0.0000
2 As 0.5000 0.5000 0.5000
3 Se 0.0000 0.0000 0.5000
4 Se 0.5000 0.5000 0.0000

Properties
Total energy after the MP2020 corrections = -16.35 eV per formula unit

---

- Which of these has the highest total energy after the MP2020 corrections?
  LiAsSe2

---

- What is the total energy after the MP2020 corrections in the first record?
  -26.80 eV per formula unit

---

- The highest total energy after the MP2020 corrections belongs to which entry?
  LiAsSe2

---

- Among the records above, which one has the lowest total energy after the MP2020 corrections?
  LaCu2Si2